Record 1
A relaxed CeMg14B crystal, computed with PBE.

a = 10.173 Å, b = 6.409 Å, c = 6.409 Å
α = 59.99°, β = 90.00°, γ = 90.00°
Sites, in units of the cell vectors:
Ce 0.000 0.000 0.000
Mg 0.000 0.020 0.490
Mg 0.000 0.490 0.020
Mg 0.000 0.490 0.490
Mg 0.234 0.666 0.666
Mg 0.271 0.159 0.159
Mg 0.272 0.159 0.681
Mg 0.272 0.681 0.159
Mg 0.500 0.506 0.506
Mg 0.500 0.506 0.987
Mg 0.500 0.987 0.506
Mg 0.728 0.159 0.681
Mg 0.728 0.681 0.159
Mg 0.729 0.159 0.159
Mg 0.766 0.666 0.666
B 0.500 0.000 0.000

Output
- ΔE to the lowest computed polymorph (meV/atom) = 79
- energy relative to the elements (eV/atom) = 0.23
- total magnetization (μB per atom) = 0.008



Record 2
A relaxed NdSmFe17 crystal, computed with PBE.

a = 6.456 Å, b = 6.456 Å, c = 6.456 Å
α = 83.03°, β = 83.03°, γ = 83.03°
Sites, in units of the cell vectors:
Nd 0.000 0.000 0.000
Sm 0.317 0.317 0.317
Fe 0.001 0.001 0.504
Fe 0.001 0.504 0.001
Fe 0.158 0.658 0.658
Fe 0.316 0.316 0.813
Fe 0.316 0.813 0.316
Fe 0.368 0.658 0.949
Fe 0.368 0.949 0.658
Fe 0.504 0.001 0.001
Fe 0.561 0.561 0.561
Fe 0.658 0.158 0.658
Fe 0.658 0.368 0.949
Fe 0.658 0.658 0.158
Fe 0.658 0.949 0.368
Fe 0.755 0.755 0.755
Fe 0.813 0.316 0.316
Fe 0.949 0.368 0.658
Fe 0.949 0.658 0.368

Output
- energy relative to the elements (eV/atom) = 0.03
- total magnetization (μB per atom) = 2.089



Record 3
A relaxed TmThTc2 crystal, computed with PBE.

a = 6.916 Å, b = 6.916 Å, c = 6.916 Å
α = 90.00°, β = 90.00°, γ = 90.00°
Sites, in units of the cell vectors:
Tm 0.000 0.000 0.000
Tm 0.000 0.500 0.500
Tm 0.500 0.000 0.500
Tm 0.500 0.500 0.000
Th 0.000 0.000 0.500
Th 0.000 0.500 0.000
Th 0.500 0.000 0.000
Th 0.500 0.500 0.500
Tc 0.250 0.250 0.250
Tc 0.250 0.250 0.750
Tc 0.250 0.750 0.250
Tc 0.250 0.750 0.750
Tc 0.750 0.250 0.250
Tc 0.750 0.250 0.750
Tc 0.750 0.750 0.250
Tc 0.750 0.750 0.750

Output
- energy relative to the elements (eV/atom) = -0.09
- total magnetization (μB per atom) = 0.000



Record 4
A relaxed Al2VNi9 crystal, computed with PBE.

a = 3.553 Å, b = 3.553 Å, c = 10.617 Å
α = 90.00°, β = 90.00°, γ = 90.00°
Sites, in units of the cell vectors:
Al 0.000 0.000 0.164
Al 0.000 0.000 0.836
V 0.000 0.000 0.500
Ni 0.000 0.500 0.000
Ni 0.000 0.500 0.337
Ni 0.000 0.500 0.663
Ni 0.500 0.000 0.000
Ni 0.500 0.000 0.337
Ni 0.500 0.000 0.663
Ni 0.500 0.500 0.167
Ni 0.500 0.500 0.500
Ni 0.500 0.500 0.833

Output
- energy relative to the elements (eV/atom) = -0.40



Record 5
A relaxed Si4CO13 crystal, computed with PBE.

a = 9.094 Å, b = 9.094 Å, c = 8.110 Å
α = 99.55°, β = 99.55°, γ = 92.69°
Sites, in units of the cell vectors:
Si 0.088 0.310 0.322
Si 0.100 0.452 0.697
Si 0.310 0.088 0.322
Si 0.452 0.100 0.697
Si 0.548 0.900 0.303
Si 0.690 0.912 0.678
Si 0.900 0.548 0.303
Si 0.912 0.690 0.678
C 0.178 0.178 0.861
C 0.822 0.822 0.139
O 0.040 0.817 0.790
O 0.059 0.478 0.276
O 0.074 0.326 0.526
O 0.090 0.268 0.860
O 0.158 0.748 0.962
O 0.183 0.960 0.210
O 0.252 0.842 0.038
O 0.253 0.526 0.791
O 0.256 0.256 0.300
O 0.268 0.090 0.860
O 0.326 0.074 0.526
O 0.474 0.747 0.209
O 0.478 0.059 0.276
O 0.522 0.941 0.724
O 0.526 0.253 0.791
O 0.674 0.926 0.474
O 0.732 0.910 0.140
O 0.744 0.744 0.700
O 0.747 0.474 0.209
O 0.748 0.158 0.962
O 0.817 0.040 0.790
O 0.842 0.252 0.038
O 0.910 0.732 0.140
O 0.926 0.674 0.474
O 0.941 0.522 0.724
O 0.960 0.183 0.210

Output
- energy relative to the elements (eV/atom) = -1.67
- total magnetization (μB per atom) = 0.000



Record 6
A relaxed BaGd2S4 crystal, computed with PBE.

a = 12.447 Å, b = 4.106 Å, c = 14.638 Å
α = 90.00°, β = 90.00°, γ = 90.00°
Sites, in units of the cell vectors:
Ba 0.241 0.250 0.162
Ba 0.259 0.750 0.662
Ba 0.741 0.250 0.338
Ba 0.759 0.750 0.838
Gd 0.066 0.250 0.390
Gd 0.081 0.250 0.899
Gd 0.419 0.750 0.399
Gd 0.434 0.750 0.890
Gd 0.566 0.250 0.110
Gd 0.581 0.250 0.601
Gd 0.919 0.750 0.101
Gd 0.934 0.750 0.610
S 0.025 0.750 0.783
S 0.082 0.250 0.577
S 0.123 0.750 0.024
S 0.205 0.750 0.335
S 0.295 0.250 0.835
S 0.377 0.250 0.524
S 0.418 0.750 0.077
S 0.475 0.250 0.283
S 0.525 0.750 0.717
S 0.582 0.250 0.923
S 0.623 0.750 0.476
S 0.705 0.750 0.165
S 0.795 0.250 0.665
S 0.877 0.250 0.976
S 0.918 0.750 0.423
S 0.975 0.250 0.217

Output
- energy relative to the elements (eV/atom) = -2.44



Record 7
A relaxed Sr20P12BrO48F3 crystal, computed with PBE.

a = 9.909 Å, b = 9.909 Å, c = 29.416 Å
α = 90.00°, β = 90.00°, γ = 120.00°
Sites, in units of the cell vectors:
Sr 0.000 0.000 0.000
Sr 0.000 0.000 0.124
Sr 0.000 0.000 0.248
Sr 0.000 0.000 0.374
Sr 0.000 0.000 0.498
Sr 0.000 0.000 0.624
Sr 0.000 0.000 0.749
Sr 0.000 0.000 0.876
Sr 0.333 0.667 0.001
Sr 0.333 0.667 0.124
Sr 0.333 0.667 0.249
Sr 0.333 0.667 0.373
Sr 0.333 0.667 0.499
Sr 0.333 0.667 0.623
Sr 0.333 0.667 0.747
Sr 0.333 0.667 0.874
Sr 0.395 0.074 0.812
Sr 0.412 0.345 0.936
Sr 0.415 0.090 0.311
Sr 0.415 0.090 0.561
Sr 0.421 0.095 0.063
Sr 0.423 0.342 0.436
Sr 0.424 0.341 0.686
Sr 0.425 0.341 0.186
Sr 0.655 0.067 0.936
Sr 0.658 0.082 0.436
Sr 0.659 0.082 0.686
Sr 0.659 0.084 0.186
Sr 0.674 0.579 0.063
Sr 0.675 0.585 0.311
Sr 0.675 0.585 0.561
Sr 0.679 0.605 0.812
Sr 0.905 0.326 0.063
Sr 0.910 0.325 0.311
Sr 0.910 0.325 0.561
Sr 0.916 0.575 0.186
Sr 0.918 0.576 0.686
Sr 0.918 0.577 0.436
Sr 0.926 0.321 0.812
Sr 0.933 0.588 0.936
P 0.035 0.304 0.437
P 0.035 0.304 0.687
P 0.036 0.304 0.187
P 0.037 0.298 0.937
P 0.064 0.702 0.312
P 0.064 0.702 0.562
P 0.065 0.699 0.811
P 0.071 0.707 0.062
P 0.260 0.963 0.937
P 0.268 0.964 0.187
P 0.269 0.965 0.437
P 0.269 0.965 0.687
P 0.293 0.364 0.062
P 0.298 0.363 0.312
P 0.298 0.363 0.562
P 0.301 0.366 0.811
P 0.634 0.935 0.811
P 0.636 0.929 0.062
P 0.637 0.936 0.312
P 0.637 0.936 0.562
P 0.696 0.731 0.437
P 0.696 0.731 0.687
P 0.696 0.732 0.187
P 0.702 0.740 0.937
Br 0.667 0.333 0.860
Br 0.667 0.333 0.986
O 0.009 0.595 0.269
O 0.009 0.595 0.519
O 0.010 0.595 0.355
O 0.011 0.595 0.605
O 0.014 0.598 0.104
O 0.024 0.604 0.018
O 0.033 0.604 0.856
O 0.078 0.868 0.936
O 0.086 0.870 0.187
O 0.087 0.870 0.687
O 0.087 0.871 0.437
O 0.129 0.216 0.437
O 0.130 0.216 0.187
O 0.130 0.217 0.687
O 0.132 0.210 0.936
O 0.145 0.484 0.687
O 0.146 0.484 0.187
O 0.147 0.484 0.437
O 0.149 0.478 0.936
O 0.186 0.184 0.062
O 0.187 0.182 0.312
O 0.187 0.182 0.562
O 0.187 0.186 0.812
O 0.197 0.450 0.063
O 0.204 0.451 0.312
O 0.204 0.451 0.562
O 0.208 0.454 0.806
O 0.246 0.792 0.806
O 0.247 0.796 0.312
O 0.247 0.796 0.562
O 0.253 0.803 0.063
O 0.309 0.065 0.980
O 0.315 0.068 0.894
O 0.322 0.071 0.230
O 0.323 0.071 0.144
O 0.323 0.071 0.480
O 0.323 0.072 0.729
O 0.324 0.072 0.644
O 0.325 0.072 0.394
O 0.329 0.851 0.936
O 0.337 0.853 0.437
O 0.337 0.854 0.187
O 0.338 0.855 0.687
O 0.396 0.420 0.018
O 0.396 0.428 0.856
O 0.402 0.417 0.104
O 0.405 0.414 0.269
O 0.405 0.414 0.519
O 0.405 0.415 0.355
O 0.405 0.415 0.605
O 0.417 0.409 0.771
O 0.516 0.662 0.687
O 0.516 0.663 0.187
O 0.516 0.663 0.437
O 0.522 0.671 0.936
O 0.546 0.754 0.806
O 0.549 0.753 0.312
O 0.549 0.753 0.562
O 0.550 0.747 0.063
O 0.572 0.967 0.856
O 0.580 0.976 0.018
O 0.583 0.986 0.104
O 0.585 0.989 0.605
O 0.585 0.990 0.355
O 0.586 0.991 0.269
O 0.586 0.991 0.519
O 0.591 0.008 0.771
O 0.747 0.675 0.394
O 0.748 0.676 0.644
O 0.748 0.677 0.144
O 0.748 0.677 0.480
O 0.749 0.677 0.729
O 0.749 0.678 0.230
O 0.754 0.685 0.894
O 0.756 0.691 0.980
O 0.783 0.913 0.687
O 0.784 0.913 0.437
O 0.784 0.914 0.187
O 0.790 0.922 0.936
O 0.814 0.001 0.812
O 0.816 0.002 0.062
O 0.818 0.004 0.312
O 0.818 0.004 0.562
O 0.928 0.251 0.729
O 0.928 0.252 0.644
O 0.928 0.253 0.394
O 0.929 0.251 0.230
O 0.929 0.252 0.144
O 0.929 0.252 0.480
O 0.932 0.246 0.894
O 0.935 0.244 0.980
O 0.992 0.583 0.771
O 0.996 0.813 0.312
O 0.996 0.813 0.562
O 0.998 0.814 0.062
O 0.999 0.813 0.812
F 0.667 0.333 0.087
F 0.667 0.333 0.192
F 0.667 0.333 0.313
F 0.667 0.333 0.437
F 0.667 0.333 0.563
F 0.667 0.333 0.689

Output
- energy relative to the elements (eV/atom) = -3.38
- total magnetization (μB per atom) = 0.000



Record 8
A relaxed BaCdBi2 crystal, computed with PBE.

a = 4.772 Å, b = 4.772 Å, c = 24.576 Å
α = 90.00°, β = 90.00°, γ = 90.00°
Sites, in units of the cell vectors:
Ba 0.000 0.000 0.116
Ba 0.000 0.000 0.884
Ba 0.500 0.500 0.384
Ba 0.500 0.500 0.616
Cd 0.000 0.500 0.250
Cd 0.000 0.500 0.750
Cd 0.500 0.000 0.250
Cd 0.500 0.000 0.750
Bi 0.000 0.000 0.329
Bi 0.000 0.000 0.671
Bi 0.000 0.500 0.000
Bi 0.000 0.500 0.500
Bi 0.500 0.000 0.000
Bi 0.500 0.000 0.500
Bi 0.500 0.500 0.171
Bi 0.500 0.500 0.829

Output
- energy relative to the elements (eV/atom) = -0.52